## 1
An optimized crystal structure of Ti9O10, computed with PBE.

Unit cell a=5.1292 b=5.1292 c=9.9224 alpha=95.78 beta=95.78 gamma=121.10
With the nearest neighbours (Å) after each atom.
Fractional coordinates of all 19 atoms:
Ti 0.0000 0.0000 0.0000  6 O 2.09-2.16
Ti 0.1033 0.4407 0.2572  5 O 1.96-2.14
Ti 0.1632 0.8368 0.5000  4 O 2.00-2.11
Ti 0.3518 0.6482 0.0000  6 O 2.06-2.15
Ti 0.4407 0.1033 0.2572  5 O 1.96-2.14
Ti 0.5593 0.8967 0.7428  5 O 1.96-2.14
Ti 0.6482 0.3518 0.0000  6 O 2.06-2.15
Ti 0.8368 0.1632 0.5000  4 O 2.00-2.11
Ti 0.8967 0.5593 0.7428  5 O 1.96-2.14
O 0.0574 0.7133 0.1197  5 Ti 2.07-2.15
O 0.1971 0.5391 0.6232  4 Ti 1.96-2.11
O 0.2867 0.9426 0.8803  5 Ti 2.07-2.15
O 0.3925 0.3925 0.1379  5 Ti 2.06-2.16
O 0.4609 0.8029 0.3768  4 Ti 1.96-2.11
O 0.5391 0.1971 0.6232  4 Ti 1.96-2.11
O 0.6075 0.6075 0.8621  5 Ti 2.06-2.16
O 0.7133 0.0574 0.1197  5 Ti 2.07-2.15
O 0.8029 0.4609 0.3768  4 Ti 1.96-2.11
O 0.9426 0.2867 0.8803  5 Ti 2.07-2.15

Properties
The spin magnetization is 0.61 μB/f.u.

## 2
An optimized crystal structure of Ti9O10, computed with PBE.

Unit cell a=4.5044 b=5.5257 c=8.9510 alpha=99.31 beta=90.55 gamma=111.38
With the nearest neighbours (Å) after each atom.
Fractional coordinates of all 19 atoms:
Ti 0.0000 0.0000 0.0000  6 O 2.00-2.12
Ti 0.0821 0.1672 0.6576  4 O 2.07-2.25
Ti 0.1965 0.5331 0.1043  6 O 2.07-2.26
Ti 0.2691 0.5144 0.4111  4 O 2.04-2.14
Ti 0.3703 0.7933 0.7287  4 O 1.96-2.05
Ti 0.6297 0.2067 0.2713  4 O 1.96-2.05
Ti 0.7309 0.4856 0.5889  4 O 2.04-2.14
Ti 0.8035 0.4669 0.8957  6 O 2.07-2.26
Ti 0.9179 0.8328 0.3424  4 O 2.07-2.25
O 0.1146 0.7979 0.5444  5 Ti 2.01-2.18
O 0.2001 0.3062 0.8915  3 Ti 2.01-2.11
O 0.2209 0.2290 0.2130  4 Ti 1.96-2.13
O 0.2555 0.7749 0.9402  4 Ti 1.98-2.11
O 0.4012 0.8207 0.2935  4 Ti 2.04-2.25
O 0.5988 0.1793 0.7065  4 Ti 2.04-2.25
O 0.7445 0.2251 0.0598  4 Ti 1.98-2.11
O 0.7791 0.7710 0.7870  4 Ti 1.96-2.13
O 0.7999 0.6938 0.1085  3 Ti 2.01-2.11
O 0.8854 0.2021 0.4556  5 Ti 2.01-2.18

Properties
The spin magnetization is 0.00 μB/f.u.

Here are the energies relative to the best structure, in kJ/mol of atoms: 1 4.7; 2 0.0.

## 1
An optimized crystal structure of Ti6O, computed with PBE.

Unit cell a=5.1168 b=5.1168 c=9.4869 alpha=90.00 beta=90.00 gamma=120.00
With the nearest neighbours (Å) after each atom.
Fractional coordinates of all 14 atoms:
Ti 0.0036 0.3355 0.3811  1 O 2.10
Ti 0.0036 0.6681 0.1189  1 O 2.10
Ti 0.3319 0.3355 0.1189  1 O 2.10
Ti 0.3319 0.9964 0.3811  1 O 2.10
Ti 0.3355 0.0036 0.8811  1 O 2.10
Ti 0.3355 0.3319 0.6189  1 O 2.10
Ti 0.6645 0.6681 0.3811  1 O 2.10
Ti 0.6645 0.9964 0.1189  1 O 2.10
Ti 0.6681 0.0036 0.6189  1 O 2.10
Ti 0.6681 0.6645 0.8811  1 O 2.10
Ti 0.9964 0.3319 0.8811  1 O 2.10
Ti 0.9964 0.6645 0.6189  1 O 2.10
O 0.3333 0.6667 0.2500  6 Ti 2.10
O 0.6667 0.3333 0.7500  6 Ti 2.10

## 2
An optimized crystal structure of Ti6O, computed with PBE.

Unit cell a=5.1133 b=5.1133 c=4.7497 alpha=90.00 beta=90.00 gamma=120.00
With the nearest neighbours (Å) after each atom.
Fractional coordinates of all 7 atoms:
Ti 0.0000 0.3316 0.2608  1 O 2.10
Ti 0.0000 0.6684 0.7392  1 O 2.10
Ti 0.3316 0.0000 0.2608  1 O 2.10
Ti 0.3316 0.3316 0.7392  1 O 2.10
Ti 0.6684 0.0000 0.7392  1 O 2.10
Ti 0.6684 0.6684 0.2608  1 O 2.10
O 0.0000 0.0000 0.0000  6 Ti 2.10

Here are the energies relative to the best structure, in kJ/mol of atoms: 1 0.0; 2 1.1.

## 1
An optimized crystal structure of Ti3Zn2O8, computed with PBE.

Unit cell a=8.4826 b=8.4826 c=8.4826 alpha=90.00 beta=90.00 gamma=90.00
With the nearest neighbours (Å) after each atom.
Fractional coordinates of all 52 atoms:
Ti 0.1141 0.3750 0.3641  6 O 1.88-2.08
Ti 0.1250 0.6359 0.6141  6 O 1.88-2.08
Ti 0.1359 0.8859 0.8750  6 O 1.88-2.08
Ti 0.3641 0.1141 0.3750  6 O 1.88-2.08
Ti 0.3750 0.3641 0.1141  6 O 1.88-2.08
Ti 0.3859 0.6250 0.8641  6 O 1.88-2.08
Ti 0.6141 0.1250 0.6359  6 O 1.88-2.08
Ti 0.6250 0.8641 0.3859  6 O 1.88-2.08
Ti 0.6359 0.6141 0.1250  6 O 1.88-2.08
Ti 0.8641 0.3859 0.6250  6 O 1.88-2.08
Ti 0.8750 0.1359 0.8859  6 O 1.88-2.08
Ti 0.8859 0.8750 0.1359  6 O 1.88-2.08
Zn 0.0060 0.5060 0.9940  4 O 1.98-1.99
Zn 0.2440 0.2560 0.7440  4 O 1.98-1.99
Zn 0.2560 0.7440 0.2440  4 O 1.98-1.99
Zn 0.4940 0.4940 0.4940  4 O 1.98-1.99
Zn 0.5060 0.9940 0.0060  4 O 1.98-1.99
Zn 0.7440 0.2440 0.2560  4 O 1.98-1.99
Zn 0.7560 0.7560 0.7560  4 O 1.98-1.99
Zn 0.9940 0.0060 0.5060  4 O 1.98-1.99
O 0.1048 0.8592 0.1085  2 Ti 1.88-2.01, 1 Zn 1.98
O 0.1085 0.1048 0.8592  2 Ti 1.88-2.01, 1 Zn 1.98
O 0.1087 0.3913 0.6087  1 Zn 1.99, 3 Ti 2.08
O 0.1092 0.8548 0.6415  2 Ti 1.88-2.01, 1 Zn 1.98
O 0.1415 0.3908 0.1452  2 Ti 1.88-2.01, 1 Zn 1.98
O 0.1408 0.6085 0.3952  2 Ti 1.88-2.01, 1 Zn 1.98
O 0.1413 0.6413 0.8587  1 Zn 1.99, 3 Ti 2.08
O 0.1452 0.1415 0.3908  2 Ti 1.88-2.01, 1 Zn 1.98
O 0.3548 0.8585 0.8908  2 Ti 1.88-2.01, 1 Zn 1.98
O 0.3587 0.3587 0.3587  1 Zn 1.99, 3 Ti 2.08
O 0.3592 0.3915 0.8952  2 Ti 1.88-2.01, 1 Zn 1.98
O 0.3585 0.6092 0.6452  2 Ti 1.88-2.01, 1 Zn 1.98
O 0.3908 0.1452 0.1415  2 Ti 1.88-2.01, 1 Zn 1.98
O 0.3913 0.6087 0.1087  1 Zn 1.99, 3 Ti 2.08
O 0.3915 0.8952 0.3592  2 Ti 1.88-2.01, 1 Zn 1.98
O 0.3952 0.1408 0.6085  2 Ti 1.88-2.01, 1 Zn 1.98
O 0.6048 0.6408 0.8915  2 Ti 1.88-2.01, 1 Zn 1.98
O 0.6087 0.1087 0.3913  1 Zn 1.99, 3 Ti 2.08
O 0.6085 0.3952 0.1408  2 Ti 1.88-2.01, 1 Zn 1.98
O 0.6092 0.6452 0.3585  2 Ti 1.88-2.01, 1 Zn 1.98
O 0.6415 0.1092 0.8548  2 Ti 1.88-2.01, 1 Zn 1.98
O 0.6413 0.8587 0.1413  1 Zn 1.99, 3 Ti 2.08
O 0.6408 0.8915 0.6048  2 Ti 1.88-2.01, 1 Zn 1.98
O 0.6452 0.3585 0.6092  2 Ti 1.88-2.01, 1 Zn 1.98
O 0.8548 0.6415 0.1092  2 Ti 1.88-2.01, 1 Zn 1.98
O 0.8592 0.1085 0.1048  2 Ti 1.88-2.01, 1 Zn 1.98
O 0.8587 0.1413 0.6413  1 Zn 1.99, 3 Ti 2.08
O 0.8585 0.8908 0.3548  2 Ti 1.88-2.01, 1 Zn 1.98
O 0.8908 0.3548 0.8585  2 Ti 1.88-2.01, 1 Zn 1.98
O 0.8915 0.6048 0.6408  2 Ti 1.88-2.01, 1 Zn 1.98
O 0.8913 0.8913 0.8913  1 Zn 1.99, 3 Ti 2.08
O 0.8952 0.3592 0.3915  2 Ti 1.88-2.01, 1 Zn 1.98

Properties
For the maximum piezoelectric response, the calculation gives 0.00 C/m2.

## 2
An optimized crystal structure of Ti3Zn2O8, computed with PBE.

Unit cell a=6.0437 b=6.0437 c=5.0170 alpha=109.37 beta=109.37 gamma=59.43
With the nearest neighbours (Å) after each atom.
Fractional coordinates of all 13 atoms:
Ti 0.0000 0.0000 0.0000  6 O 1.97-1.98
Ti 0.2670 0.7330 0.5000  6 O 1.90-2.08
Ti 0.7330 0.2670 0.5000  6 O 1.90-2.08
Zn 0.2850 0.2850 0.8481  4 O 2.07-2.24
Zn 0.7150 0.7150 0.1519  4 O 2.07-2.24
O 0.1077 0.1077 0.4215  3 Ti 1.98-2.08
O 0.1130 0.6590 0.0900  2 Ti 1.96-1.97, 1 Zn 2.07
O 0.3410 0.8870 0.9100  2 Ti 1.96-1.97, 1 Zn 2.07
O 0.3947 0.3947 0.5733  2 Ti 1.90, 1 Zn 2.11
O 0.6053 0.6053 0.4267  2 Ti 1.90, 1 Zn 2.11
O 0.6590 0.1130 0.0900  2 Ti 1.96-1.97, 1 Zn 2.07
O 0.8870 0.3410 0.9100  2 Ti 1.96-1.97, 1 Zn 2.07
O 0.8923 0.8923 0.5785  3 Ti 1.98-2.08

Properties
The spin magnetization is 0.00 μB/f.u.

Here are the energies relative to the best structure, in kJ/mol of atoms: 1 0.0; 2 8.1.

## 1
An optimized crystal structure of TmO3, computed with PBE.

Unit cell a=6.3935 b=6.3935 c=3.3603 alpha=90.00 beta=90.00 gamma=120.00
With the nearest neighbours (Å) after each atom.
Fractional coordinates of all 8 atoms:
Tm 0.3333 0.6667 0.2500  9 O 2.27-2.37
Tm 0.6667 0.3333 0.7500  9 O 2.27-2.37
O 0.0576 0.4220 0.7500  2 O 2.26, 3 Tm 2.27-2.37
O 0.3644 0.9424 0.7500  2 O 2.26, 3 Tm 2.27-2.37
O 0.4220 0.3644 0.2500  2 O 2.26, 3 Tm 2.27-2.37
O 0.5780 0.6356 0.7500  2 O 2.26, 3 Tm 2.27-2.37
O 0.6356 0.0576 0.2500  2 O 2.26, 3 Tm 2.27-2.37
O 0.9424 0.5780 0.2500  2 O 2.26, 3 Tm 2.27-2.37

Properties
The spin magnetization is 3.00 μB/f.u.

## 2
An optimized crystal structure of TmO3, computed with PBE.

Unit cell a=3.9025 b=3.9025 c=3.9025 alpha=60.00 beta=60.00 gamma=60.00
With the nearest neighbours (Å) after each atom.
Fractional coordinates of all 4 atoms:
Tm 0.0000 0.0000 0.0000  8 O 2.39
O 0.2500 0.2500 0.2500  4 O 2.39, 4 Tm 2.39
O 0.5000 0.5000 0.5000  8 O 2.39
O 0.7500 0.7500 0.7500  4 O 2.39, 4 Tm 2.39

Properties
The spin magnetization is 3.00 μB/f.u.

Here are the energies relative to the best structure, in kJ/mol of atoms: 1 0.0; 2 9.9.

## 1
An optimized crystal structure of UO3, computed with PBE.

Unit cell a=11.3025 b=11.2806 c=6.9742 alpha=72.18 beta=71.84 gamma=35.98
With the nearest neighbours (Å) after each atom.
Fractional coordinates of all 32 atoms:
U 0.0000 0.0000 0.0000  2 O 1.91
U 0.0000 0.0000 0.5000  2 O 1.91
U 0.0000 0.5000 0.0000  2 O 1.91
U 0.1860 0.1860 0.5640  2 O 1.82
U 0.4360 0.4360 0.8140  2 O 1.82
U 0.5000 0.0000 0.0000  2 O 1.91
U 0.5640 0.5640 0.1860  2 O 1.82
U 0.8140 0.8140 0.4360  2 O 1.82
O 0.0764 0.5558 0.4259  1 U 1.82
O 0.0910 0.0930 0.4604  1 U 1.91
O 0.0930 0.0910 0.8555  1 U 1.91
O 0.1445 0.5396 0.9070  1 U 1.91
O 0.1771 0.7902 0.7628  3 U 2.22-2.35
O 0.2098 0.8229 0.2301  3 U 2.22-2.35
O 0.2301 0.2372 0.2098  3 U 2.22-2.35
O 0.2372 0.2301 0.8229  3 U 2.22-2.35
O 0.4259 0.4419 0.0764  1 U 1.82
O 0.4419 0.4259 0.5558  1 U 1.82
O 0.4442 0.9236 0.5581  1 U 1.82
O 0.4604 0.8555 0.0910  1 U 1.91
O 0.5396 0.1445 0.9090  1 U 1.91
O 0.5558 0.0764 0.4419  1 U 1.82
O 0.5581 0.5741 0.4442  1 U 1.82
O 0.5741 0.5581 0.9236  1 U 1.82
O 0.7628 0.7699 0.1771  3 U 2.22-2.35
O 0.7699 0.7628 0.7902  3 U 2.22-2.35
O 0.7902 0.1771 0.7699  3 U 2.22-2.35
O 0.8229 0.2098 0.2372  3 U 2.22-2.35
O 0.8555 0.4604 0.0930  1 U 1.91
O 0.9070 0.9090 0.1445  1 U 1.91
O 0.9090 0.9070 0.5396  1 U 1.91
O 0.9236 0.4442 0.5741  1 U 1.82

Properties
The spin magnetization is 0.00 μB/f.u.

## 2
An optimized crystal structure of UO3, computed with PBE.

Unit cell a=4.1648 b=4.1648 c=4.1648 alpha=90.00 beta=90.00 gamma=90.00
With the nearest neighbours (Å) after each atom.
Fractional coordinates of all 4 atoms:
U 0.0000 0.0000 0.0000  6 O 2.08
O 0.0000 0.0000 0.5000  2 U 2.08
O 0.0000 0.5000 0.0000  2 U 2.08
O 0.5000 0.0000 0.0000  2 U 2.08

## 3
An optimized crystal structure of UO3, computed with PBE.

Unit cell a=4.0746 b=14.5100 c=10.4861 alpha=90.00 beta=97.48 gamma=90.00
With the nearest neighbours (Å) after each atom.
Fractional coordinates of all 40 atoms:
U 0.0026 0.0000 0.0014  2 O 1.85
U 0.1602 0.2358 0.3430  2 O 1.79-1.80
U 0.2017 0.2520 0.8015  2 O 1.80-1.82
U 0.3447 0.5160 0.6656  6 O 2.03-2.14
U 0.3854 0.9759 0.6992  2 O 1.88-1.95
U 0.6146 0.4759 0.3008  2 O 1.88-1.95
U 0.6553 0.0160 0.3344  6 O 2.03-2.14
U 0.7983 0.7520 0.1985  2 O 1.80-1.82
U 0.8398 0.7358 0.6570  2 O 1.79-1.80
U 0.9974 0.5000 0.9986  2 O 1.85
O 0.0043 0.3842 0.9243  1 U 1.85
O 0.0177 0.1187 0.9390  1 U 1.85
O 0.0926 0.4550 0.2278  2 U 2.19-2.20
O 0.0971 0.2404 0.1706  1 U 1.79
O 0.1527 0.0534 0.3279  2 U 2.11
O 0.1982 0.7441 0.2976  1 U 1.82
O 0.2248 0.2359 0.5160  1 U 1.80
O 0.2964 0.4960 0.4720  1 U 2.04
O 0.3094 0.3791 0.7009  2 U 2.03-2.20
O 0.3385 0.6628 0.6505  3 U 2.14-2.30
O 0.3519 0.1046 0.7177  1 U 1.88
O 0.3561 0.8448 0.6577  1 U 1.95
O 0.4229 0.5304 0.8604  1 U 2.04
O 0.4525 0.7546 0.0733  1 U 1.80
O 0.4613 0.9755 0.9102  3 U 2.19-2.31
O 0.5387 0.4755 0.0898  3 U 2.19-2.31
O 0.5475 0.2546 0.9267  1 U 1.80
O 0.5771 0.0304 0.1396  1 U 2.04
O 0.6439 0.3448 0.3423  1 U 1.95
O 0.6481 0.6046 0.2823  1 U 1.88
O 0.6615 0.1628 0.3495  3 U 2.14-2.30
O 0.6906 0.8791 0.2991  2 U 2.03-2.20
O 0.7036 0.9960 0.5280  1 U 2.04
O 0.7752 0.7359 0.4840  1 U 1.80
O 0.8018 0.2441 0.7024  1 U 1.82
O 0.8473 0.5534 0.6721  2 U 2.11
O 0.9029 0.7404 0.8294  1 U 1.79
O 0.9074 0.9550 0.7722  2 U 2.19-2.20
O 0.9823 0.6187 0.0610  1 U 1.85
O 0.9957 0.8842 0.0757  1 U 1.85

Properties
The spin magnetization is 0.00 μB/f.u.

## 4
An optimized crystal structure of UO3, computed with PBE.

Unit cell a=4.1965 b=4.2035 c=19.7445 alpha=90.00 beta=95.30 gamma=90.00
With the nearest neighbours (Å) after each atom.
Fractional coordinates of all 20 atoms:
U 0.0000 0.0000 0.0000  1 O 1.93
U 0.0301 0.0000 0.7821  7 O 2.07-2.27
U 0.5816 0.0000 0.1442  5 O 2.02-2.20
U 0.6831 0.0000 0.3581  6 O 2.08-2.19
U 0.8719 0.0000 0.5698  6 O 2.09-2.12
O 0.0405 0.5000 0.7859  2 U 2.10
O 0.0629 0.0000 0.9046  1 U 1.93
O 0.0663 0.0000 0.1122  3 U 2.19-2.21
O 0.1814 0.0000 0.3552  2 U 2.10
O 0.3727 0.0000 0.5692  2 U 2.09-2.10
O 0.5163 0.0000 0.7508  1 O 1.47
O 0.5505 0.0000 0.8256  1 O 1.47
O 0.5622 0.5000 0.1527  2 U 2.11
O 0.5728 0.2480 0.0230  2 O 2.08-2.12, 1 U 2.16
O 0.5728 0.7520 0.0230  2 O 2.08-2.12, 1 U 2.16
O 0.6284 0.0000 0.2467  2 U 2.02-2.19
O 0.6734 0.5000 0.3582  2 U 2.10
O 0.7802 0.0000 0.4633  2 U 2.08-2.10
O 0.8712 0.5000 0.5707  2 U 2.10
O 0.9707 0.0000 0.6769  2 U 2.07-2.12

Properties
The spin magnetization is 0.50 μB/f.u.

Here are the energies relative to the best structure, in kJ/mol of atoms: 1 8.0; 2 0.0; 3 13.0; 4 75.4.

## 1
An optimized crystal structure of UO3, computed with PBE.

Unit cell a=5.2485 b=5.5424 c=7.5683 alpha=90.00 beta=90.00 gamma=90.00
With the nearest neighbours (Å) after each atom.
Fractional coordinates of all 16 atoms:
U 0.2163 0.1219 0.1843  2 O 1.87-1.90
U 0.2837 0.8781 0.6843  2 O 1.87-1.90
U 0.7163 0.3781 0.8157  2 O 1.87-1.90
U 0.7837 0.6219 0.3157  2 O 1.87-1.90
O 0.0330 0.8588 0.0943  1 U 1.87
O 0.0683 0.6170 0.7475  1 U 1.90
O 0.0836 0.8677 0.4278  3 U 2.21-2.42
O 0.4164 0.1323 0.9278  3 U 2.21-2.42
O 0.4317 0.3830 0.2475  1 U 1.90
O 0.4670 0.1412 0.5943  1 U 1.87
O 0.5330 0.6412 0.9057  1 U 1.87
O 0.5683 0.8830 0.2525  1 U 1.90
O 0.5836 0.6323 0.5722  3 U 2.21-2.42
O 0.9164 0.3677 0.0722  3 U 2.21-2.42
O 0.9317 0.1170 0.7525  1 U 1.90
O 0.9670 0.3588 0.4057  1 U 1.87

Properties
The spin magnetization is 0.00 μB/f.u.

## 2
An optimized crystal structure of UO3, computed with PBE.

Unit cell a=3.9917 b=3.9917 c=4.1445 alpha=90.00 beta=90.00 gamma=123.06
With the nearest neighbours (Å) after each atom.
Fractional coordinates of all 4 atoms:
U 0.0000 0.0000 0.0000  6 O 2.07-2.22
O 0.0000 0.0000 0.5000  2 U 2.07
O 0.3370 0.6630 0.0000  3 U 2.22-2.36, 3 O 2.26-2.29
O 0.6630 0.3370 0.0000  3 U 2.22-2.36, 3 O 2.26-2.29

Properties
The spin magnetization is 0.00 μB/f.u.

## 3
An optimized crystal structure of UO3, computed with PBE.

Unit cell a=3.8093 b=3.8093 c=4.1526 alpha=90.00 beta=90.00 gamma=120.00
With the nearest neighbours (Å) after each atom.
Fractional coordinates of all 4 atoms:
U 0.0000 0.0000 0.0000  8 O 2.08-2.25
O 0.0000 0.0000 0.5000  2 U 2.08
O 0.3333 0.6667 0.1131  3 U 2.25, 3 O 2.39
O 0.6667 0.3333 0.8869  3 U 2.25, 3 O 2.39

Properties
The spin magnetization is 0.00 μB/f.u.

Here are the energies relative to the best structure, in kJ/mol of atoms: 1 0.0; 2 11.0; 3 3.0.